No. 1
Below is a relaxed K3Hg crystal, with properties calculated at the r2SCAN level.

Values from the calculation:
As for the magnetization: 0.000 μB/atom. For the formation energy, the calculation gives -19 meV/atom.

abc: 9.1544 9.1544 9.1544
angles: 90.00 90.00 90.00
Space group Fm-3m (No. 225)
Inequivalent atoms, fractional coordinates:
K 0.0000 0.0000 0.0000
K 0.2500 0.2500 0.2500
Hg 0.0000 0.0000 0.5000

=====

No. 2
Below is a relaxed Ba2Ru7O18 crystal, with properties calculated at the r2SCAN level.

Values from the calculation:
As for the magnetization: 0.075 μB/atom. For the formation energy, the calculation gives -1511 meV/atom.

abc: 6.7814 7.1624 7.5366
angles: 93.33 93.84 115.86
Space group P-1 (No. 2)
Inequivalent atoms, fractional coordinates:
Ba 0.1826 0.3136 0.3758
Ru 0.1115 0.7211 0.1161
Ru 0.3002 0.1281 0.8147
Ru 0.3238 0.6215 0.8050
Ru 0.5000 0.0000 0.5000
O 0.0072 0.0875 0.8318
O 0.0208 0.4411 0.6906
O 0.1799 0.4847 0.0213
O 0.2123 0.8328 0.8838
O 0.2238 0.0009 0.5718
O 0.3964 0.3984 0.7312
O 0.4023 0.8673 0.2477
O 0.4120 0.2317 0.0527
O 0.4208 0.7310 0.5850